1.
Here is a relaxed structure of Li9Mn2Co5O16 from the Materials Project database. Energies are from PBE+U.

```
Li9Mn2Co5O16
1.0
5.1029 0.0000 0.0000
0.0000 5.8040 0.0000
-1.4514 0.0000 9.6633
Li Mn Co O
9 2 5 16
Cartesian
0.0000 0.0000 0.0000
0.8681 1.3940 2.3797
0.1557 5.7919 7.3477
0.1737 2.8687 7.2655
0.9112 4.3611 2.4149
2.7403 4.3611 7.2484
3.4778 2.8687 2.3978
3.4957 5.7919 2.3156
2.7834 1.3940 7.2836
-0.7257 1.4274 4.8316
0.0000 2.8575 0.0000
-0.7257 4.3307 4.8316
2.5514 1.3902 0.0000
1.8257 2.8699 4.8316
2.5514 4.3467 0.0000
1.8257 5.7882 4.8316
-0.6795 1.5264 8.5373
0.0480 5.7982 3.7086
0.0532 2.8650 3.7275
-0.5016 4.2412 8.6234
1.6799 2.8833 1.0211
1.0367 4.3299 5.9546
1.1169 1.4261 6.0057
1.8662 5.7497 1.0558
1.7853 5.7497 8.6075
2.5346 1.4261 3.6576
2.6148 4.3299 3.7087
1.9716 2.8833 8.6421
4.1531 4.2412 1.0399
3.5983 2.8650 5.9358
3.6035 5.7982 5.9547
4.3310 1.5264 1.1260
```

Properties
E_form   -1.797 eV/atom
Space-group type   P2, No. 3
Energy above the most stable polymorph in this dataset   67 meV per atom



2.
Here is a relaxed structure of Mg2CrWO6 from the Materials Project database. Energies are from PBE+U.

```
Mg2CrWO6
1.0
5.1926 0.0000 0.0000
0.0000 5.3566 0.0000
-5.1866 0.0000 7.6194
Mg Cr W O
4 2 2 12
Cartesian
0.0027 0.2470 1.8795
-2.5906 2.4313 5.6892
2.5967 2.9253 1.9302
0.0034 5.1096 5.7400
-2.5933 0.0000 3.8097
0.0000 2.6783 0.0000
2.5963 0.0000 0.0000
0.0030 2.6783 3.8097
-3.2420 0.4180 5.7222
-0.6488 2.2604 1.9125
-1.6548 3.6312 4.2764
0.9384 4.4037 0.4667
-0.9197 0.9708 4.3672
1.6736 1.7075 0.5575
-1.6675 3.6491 7.0619
0.9258 4.3858 3.2522
-0.9324 0.9529 7.1527
1.6609 1.7254 3.3430
0.6548 3.0963 5.7069
3.2481 4.9387 1.8972
```

Properties
E_form   -2.544 eV/atom
Space-group type   P2_1/c, No. 14
Energy above the most stable polymorph in this dataset   23 meV per atom



3.
Here is a relaxed structure of LiVF4 from the Materials Project database. Energies are from PBE+U.

```
LiVF4
1.0
4.7158 0.0000 0.0000
0.0000 5.6466 0.0000
-0.3270 0.0000 5.2092
Li V F
2 2 8
Cartesian
-0.0818 0.7616 1.3023
-0.2453 4.8850 3.9069
2.1126 1.9456 3.9069
2.2762 3.7009 1.3023
0.9218 0.7217 3.0631
1.0853 4.9249 0.4585
1.3067 2.1780 0.4001
1.1432 3.4686 3.0047
3.2456 2.1780 2.2045
3.0821 3.4686 4.8091
3.3035 0.7217 4.7506
3.4670 4.9249 2.1461
```

Properties
E_form   -3.203 eV/atom
Space-group type   P2/c, No. 13
Energy above the most stable polymorph in this dataset   16 meV per atom



4.
Here is a relaxed structure of Mn2PO5 from the Materials Project database. Energies are from PBE+U.

```
Mn2PO5
1.0
-2.7865 2.7865 6.1701
2.7865 -2.7865 6.1701
2.7865 2.7865 -6.1701
Mn P O
4 2 10
Cartesian
0.0000 0.0000 0.0000
1.3933 1.3933 -3.0851
1.3933 -1.3933 3.0851
0.0000 2.7865 0.0000
2.7865 1.3933 1.5425
0.0000 1.3933 4.6276
2.7865 -1.3933 4.6276
2.7865 0.0908 2.3870
1.4840 1.3933 0.6980
4.0891 1.3933 0.6980
0.0000 0.0908 3.7831
2.7865 2.6958 2.3870
-1.3025 1.3933 5.4721
1.3025 1.3933 5.4721
0.0000 2.6958 3.7831
0.0000 4.1798 1.5425
```

Properties
E_form   -2.385 eV/atom
Space-group type   I4_1/amd, No. 141
Energy above the most stable polymorph in this dataset   29 meV per atom



Look up the energy above the most stable polymorph in this dataset of the first one. 67 meV per atom